1.
Below is a relaxed structure of Dy2Hf2O7, with properties calculated at the meta-GGA r2SCAN level.

Structure (CIF):
```
data_Dy2Hf2O7
_chemical_formula_sum 'Dy4 Hf4 O14'
_symmetry_space_group_name_H-M 'P 1'
_symmetry_Int_Tables_number 1
_cell_length_a 7.3667
_cell_length_b 7.3667
_cell_length_c 7.3667
_cell_angle_alpha 60.00
_cell_angle_beta 60.00
_cell_angle_gamma 60.00
loop_
_symmetry_equiv_pos_as_xyz
'x,y,z'
loop_
_atom_site_label
_atom_site_type_symbol
_atom_site_fract_x
_atom_site_fract_y
_atom_site_fract_z
Dy1 Dy 0.0000 0.0000 0.0000
Dy2 Dy 0.0000 0.0000 0.5000
Dy3 Dy 0.0000 0.5000 0.0000
Dy4 Dy 0.5000 0.0000 0.0000
Hf1 Hf 0.0000 0.5000 0.5000
Hf2 Hf 0.5000 0.0000 0.5000
Hf3 Hf 0.5000 0.5000 0.0000
Hf4 Hf 0.5000 0.5000 0.5000
O1 O 0.1250 0.1250 0.1250
O2 O 0.1621 0.1621 0.5879
O3 O 0.1621 0.5879 0.1621
O4 O 0.1621 0.5879 0.5879
O5 O 0.4121 0.4121 0.8379
O6 O 0.4121 0.8379 0.4121
O7 O 0.4121 0.8379 0.8379
O8 O 0.5879 0.1621 0.1621
O9 O 0.5879 0.1621 0.5879
O10 O 0.5879 0.5879 0.1621
O11 O 0.8379 0.4121 0.4121
O12 O 0.8379 0.4121 0.8379
O13 O 0.8379 0.8379 0.4121
O14 O 0.8750 0.8750 0.8750
```

Properties
Magnetic moment: 0.00 μB per atom
Calculated formation energy: -3.924 eV per atom
Energy: -21.749 eV/atom


2.
Below is a relaxed structure of DyHg2, with properties calculated at the meta-GGA r2SCAN level.

Structure (CIF):
```
data_DyHg2
_chemical_formula_sum 'Dy1 Hg2'
_symmetry_space_group_name_H-M 'P 1'
_symmetry_Int_Tables_number 1
_cell_length_a 4.8859
_cell_length_b 4.8859
_cell_length_c 3.4470
_cell_angle_alpha 90.00
_cell_angle_beta 90.00
_cell_angle_gamma 120.00
loop_
_symmetry_equiv_pos_as_xyz
'x,y,z'
loop_
_atom_site_label
_atom_site_type_symbol
_atom_site_fract_x
_atom_site_fract_y
_atom_site_fract_z
Dy1 Dy 0.0000 0.0000 0.0000
Hg1 Hg 0.3333 0.6667 0.5000
Hg2 Hg 0.6667 0.3333 0.5000
```

Properties
Magnetic moment: 0.00 μB per atom
Calculated formation energy: -0.467 eV per atom
Energy: -44.040 eV/atom


3.
Below is a relaxed structure of DyHg, with properties calculated at the meta-GGA r2SCAN level.

Structure (CIF):
```
data_DyHg
_chemical_formula_sum 'Dy1 Hg1'
_symmetry_space_group_name_H-M 'P 1'
_symmetry_Int_Tables_number 1
_cell_length_a 3.6932
_cell_length_b 3.6932
_cell_length_c 3.6932
_cell_angle_alpha 90.00
_cell_angle_beta 90.00
_cell_angle_gamma 90.00
loop_
_symmetry_equiv_pos_as_xyz
'x,y,z'
loop_
_atom_site_label
_atom_site_type_symbol
_atom_site_fract_x
_atom_site_fract_y
_atom_site_fract_z
Dy1 Dy 0.0000 0.0000 0.0000
Hg1 Hg 0.5000 0.5000 0.5000
```

Properties
Magnetic moment: 0.00 μB per atom
Calculated formation energy: -0.578 eV per atom
Energy: -41.253 eV/atom


4.
Below is a relaxed structure of DyHg3, with properties calculated at the meta-GGA r2SCAN level.

Structure (CIF):
```
data_DyHg3
_chemical_formula_sum 'Dy2 Hg6'
_symmetry_space_group_name_H-M 'P 1'
_symmetry_Int_Tables_number 1
_cell_length_a 6.6029
_cell_length_b 6.6029
_cell_length_c 4.9443
_cell_angle_alpha 90.00
_cell_angle_beta 90.00
_cell_angle_gamma 120.00
loop_
_symmetry_equiv_pos_as_xyz
'x,y,z'
loop_
_atom_site_label
_atom_site_type_symbol
_atom_site_fract_x
_atom_site_fract_y
_atom_site_fract_z
Dy1 Dy 0.3333 0.6667 0.2500
Dy2 Dy 0.6667 0.3333 0.7500
Hg1 Hg 0.1659 0.3319 0.7500
Hg2 Hg 0.1659 0.8341 0.7500
Hg3 Hg 0.3319 0.1659 0.2500
Hg4 Hg 0.6681 0.8341 0.7500
Hg5 Hg 0.8341 0.1659 0.2500
Hg6 Hg 0.8341 0.6681 0.2500
```

Properties
Magnetic moment: 0.00 μB per atom
Calculated formation energy: -0.407 eV per atom
Energy: -45.428 eV/atom


What did the first record say?
Below is a relaxed structure of Dy2Hf2O7, with properties calculated at the meta-GGA r2SCAN level.

Structure (CIF):
```
data_Dy2Hf2O7
_chemical_formula_sum 'Dy4 Hf4 O14'
_symmetry_space_group_name_H-M 'P 1'
_symmetry_Int_Tables_number 1
_cell_length_a 7.3667
_cell_length_b 7.3667
_cell_length_c 7.3667
_cell_angle_alpha 60.00
_cell_angle_beta 60.00
_cell_angle_gamma 60.00
loop_
_symmetry_equiv_pos_as_xyz
'x,y,z'
loop_
_atom_site_label
_atom_site_type_symbol
_atom_site_fract_x
_atom_site_fract_y
_atom_site_fract_z
Dy1 Dy 0.0000 0.0000 0.0000
Dy2 Dy 0.0000 0.0000 0.5000
Dy3 Dy 0.0000 0.5000 0.0000
Dy4 Dy 0.5000 0.0000 0.0000
Hf1 Hf 0.0000 0.5000 0.5000
Hf2 Hf 0.5000 0.0000 0.5000
Hf3 Hf 0.5000 0.5000 0.0000
Hf4 Hf 0.5000 0.5000 0.5000
O1 O 0.1250 0.1250 0.1250
O2 O 0.1621 0.1621 0.5879
O3 O 0.1621 0.5879 0.1621
O4 O 0.1621 0.5879 0.5879
O5 O 0.4121 0.4121 0.8379
O6 O 0.4121 0.8379 0.4121
O7 O 0.4121 0.8379 0.8379
O8 O 0.5879 0.1621 0.1621
O9 O 0.5879 0.1621 0.5879
O10 O 0.5879 0.5879 0.1621
O11 O 0.8379 0.4121 0.4121
O12 O 0.8379 0.4121 0.8379
O13 O 0.8379 0.8379 0.4121
O14 O 0.8750 0.8750 0.8750
```

Properties
Magnetic moment: 0.00 μB per atom
Calculated formation energy: -3.924 eV per atom
Energy: -21.749 eV/atom